A relaxed TiMnP crystal, computed with GGA-PBE.

Lattice parameters (Å, degrees): 6.1992 6.1992 3.3800 90.00 90.00 120.00
Positions (direct):
Ti 0.0000 0.5893 0.0000
Ti 0.4107 0.4107 0.0000
Ti 0.5893 0.0000 0.0000
Mn 0.0000 0.2472 0.5000
Mn 0.2472 0.0000 0.5000
Mn 0.7528 0.7528 0.5000
P 0.0000 0.0000 0.0000
P 0.3333 0.6667 0.5000
P 0.6667 0.3333 0.5000

## Properties
Symmetry = P-62m (189)

---

A relaxed BaY2CuO5 crystal, computed with GGA-PBE.

Lattice parameters (Å, degrees): 12.2820 5.7169 7.2459 90.00 90.00 90.00
Positions (direct):
Ba 0.0953 0.2500 0.0698
Ba 0.4047 0.7500 0.5698
Ba 0.5953 0.2500 0.4302
Ba 0.9047 0.7500 0.9302
Y 0.0741 0.7500 0.3966
Y 0.2126 0.2500 0.6144
Y 0.2874 0.7500 0.1144
Y 0.4259 0.2500 0.8966
Y 0.5741 0.7500 0.1034
Y 0.7126 0.2500 0.8856
Y 0.7874 0.7500 0.3856
Y 0.9259 0.2500 0.6034
Cu 0.1604 0.7500 0.7837
Cu 0.3396 0.2500 0.2837
Cu 0.6604 0.7500 0.7163
Cu 0.8396 0.2500 0.2163
O 0.0677 0.5066 0.6633
O 0.0677 0.9934 0.6633
O 0.1000 0.7500 0.0838
O 0.2280 0.0042 0.3559
O 0.2280 0.4958 0.3559
O 0.2720 0.5042 0.8559
O 0.2720 0.9958 0.8559
O 0.4000 0.2500 0.5838
O 0.4323 0.0066 0.1633
O 0.4323 0.4934 0.1633
O 0.5677 0.5066 0.8367
O 0.5677 0.9934 0.8367
O 0.6000 0.7500 0.4162
O 0.7280 0.0042 0.1441
O 0.7280 0.4958 0.1441
O 0.7720 0.5042 0.6441
O 0.7720 0.9958 0.6441
O 0.9000 0.2500 0.9162
O 0.9323 0.0066 0.3367
O 0.9323 0.4934 0.3367

## Properties
Symmetry = Pnma (62)
Total magnetic moment = 0.99 μB per formula unit

---

A relaxed Ho2Cu2O5 crystal, computed with GGA-PBE.

Lattice parameters (Å, degrees): 10.8811 3.5096 12.5173 90.00 90.00 90.00
Positions (direct):
Ho 0.0427 0.2225 0.0000
Ho 0.2075 0.2212 0.3276
Ho 0.2925 0.7212 0.8276
Ho 0.4573 0.7225 0.5000
Ho 0.5427 0.2775 0.0000
Ho 0.7075 0.2788 0.3276
Ho 0.7925 0.7788 0.8276
Ho 0.9573 0.7775 0.5000
Cu 0.0115 0.3397 0.7171
Cu 0.2381 0.1563 0.6111
Cu 0.2619 0.6563 0.1111
Cu 0.4885 0.8397 0.2171
Cu 0.5115 0.1603 0.7171
Cu 0.7381 0.3437 0.6111
Cu 0.7619 0.8437 0.1111
Cu 0.9885 0.6603 0.2171
O 0.0715 0.2754 0.5659
O 0.0769 0.7274 0.3564
O 0.1247 0.3447 0.1639
O 0.1733 0.7250 0.9718
O 0.1779 0.2190 0.7627
O 0.3221 0.7190 0.2627
O 0.3267 0.2250 0.4718
O 0.3753 0.8447 0.6639
O 0.4231 0.2274 0.8564
O 0.4285 0.7754 0.0659
O 0.5715 0.2246 0.5659
O 0.5769 0.7726 0.3564
O 0.6247 0.1553 0.1639
O 0.6733 0.7750 0.9718
O 0.6779 0.2810 0.7627
O 0.8221 0.7810 0.2627
O 0.8267 0.2750 0.4718
O 0.8753 0.6553 0.6639
O 0.9231 0.2726 0.8564
O 0.9285 0.7246 0.0659

## Properties
Maximum piezoelectric response = 0.16 C/m2
Symmetry = Pna2_1 (33)
Total magnetic moment = 2.00 μB per formula unit

---

A relaxed U2Ni3As4 crystal, computed with GGA-PBE.

Lattice parameters (Å, degrees): 4.0892 4.0892 9.2016 90.00 90.00 90.00
Positions (direct):
U 0.0000 0.0000 0.0000
U 0.5000 0.5000 0.4989
Ni 0.0000 0.5000 0.2487
Ni 0.5000 0.0000 0.2487
Ni 0.5000 0.5000 0.8645
As 0.0000 0.0000 0.3952
As 0.0000 0.5000 0.7405
As 0.5000 0.0000 0.7405
As 0.5000 0.5000 0.1143

## Properties
Symmetry = P4mm (99)
Total magnetic moment = 0.10 μB per formula unit

---

A relaxed YMg crystal, computed with GGA-PBE.

Lattice parameters (Å, degrees): 10.1131 5.8964 6.4841 90.00 119.92 90.00
Positions (direct):
Y 0.0000 0.0000 0.0000
Y 0.1632 0.6389 0.4879
Y 0.3368 0.1389 0.5121
Y 0.5000 0.5000 0.0000
Y 0.6632 0.1389 0.4879
Y 0.8368 0.6389 0.5121
Mg 0.0000 0.1446 0.5000
Mg 0.1672 0.4801 0.9963
Mg 0.3328 0.9801 0.0037
Mg 0.5000 0.6446 0.5000
Mg 0.6672 0.9801 0.9963
Mg 0.8328 0.4801 0.0037

## Properties
Symmetry = C2 (5)
Total magnetic moment = 0.02 μB per formula unit

---

A relaxed Ta2Ni3Ge crystal, computed with GGA-PBE.

Lattice parameters (Å, degrees): 4.8933 4.8933 7.7425 90.00 90.00 120.00
Positions (direct):
Ta 0.3333 0.6667 0.0584
Ta 0.3333 0.6667 0.4416
Ta 0.6667 0.3333 0.5584
Ta 0.6667 0.3333 0.9416
Ni 0.1714 0.3429 0.7500
Ni 0.1714 0.8286 0.7500
Ni 0.3429 0.1714 0.2500
Ni 0.6571 0.8286 0.7500
Ni 0.8286 0.1714 0.2500
Ni 0.8286 0.6571 0.2500
Ge 0.0000 0.0000 0.0000
Ge 0.0000 0.0000 0.5000

## Properties
Symmetry = P6_3/mmc (194)
Total magnetic moment = 1.69 μB per formula unit

---

A relaxed K4Zr3Te17 crystal, computed with GGA-PBE.

Lattice parameters (Å, degrees): 10.4100 30.9581 11.9504 90.00 115.75 90.00
Positions (direct):
K 0.1968 0.2209 0.4355
K 0.1968 0.2791 0.9355
K 0.2331 0.5190 0.5386
K 0.2331 0.9810 0.0386
K 0.2571 0.7044 0.5340
K 0.2571 0.7956 0.0340
K 0.2717 0.0694 0.5219
K 0.2717 0.4306 0.0219
K 0.7283 0.5694 0.9781
K 0.7283 0.9306 0.4781
K 0.7429 0.2044 0.9660
K 0.7429 0.2956 0.4660
K 0.7669 0.0190 0.9614
K 0.7669 0.4810 0.4614
K 0.8032 0.7209 0.0645
K 0.8032 0.7791 0.5645
Zr 0.0517 0.6170 0.8359
Zr 0.0517 0.8830 0.3359
Zr 0.2860 0.1191 0.9935
Zr 0.2860 0.3809 0.4935
Zr 0.3819 0.6184 0.1757
Zr 0.3819 0.8816 0.6757
Zr 0.6181 0.1184 0.3243
Zr 0.6181 0.3816 0.8243
Zr 0.7140 0.6191 0.5065
Zr 0.7140 0.8809 0.0065
Zr 0.9483 0.1170 0.6641
Zr 0.9483 0.3830 0.1641
Te 0.0239 0.6068 0.5745
Te 0.0239 0.8932 0.0745
Te 0.0926 0.5248 0.7841
Te 0.0926 0.9752 0.2841
Te 0.1036 0.7078 0.7940
Te 0.1036 0.7922 0.2940
Te 0.1167 0.5596 0.0504
Te 0.1167 0.9404 0.5504
Te 0.1228 0.6170 0.2405
Te 0.1232 0.6765 0.0487
Te 0.1232 0.8235 0.5487
Te 0.1228 0.8830 0.7405
Te 0.1267 0.1767 0.0892
Te 0.1267 0.3233 0.5892
Te 0.1882 0.1788 0.7682
Te 0.1882 0.3212 0.2682
Te 0.1987 0.0546 0.7839
Te 0.1987 0.4454 0.2839
Te 0.2991 0.0992 0.2404
Te 0.2991 0.4008 0.7404
Te 0.3704 0.6125 0.9144
Te 0.3704 0.8875 0.4144
Te 0.4391 0.6961 0.8649
Te 0.4391 0.8039 0.3649
Te 0.4770 0.5562 0.3943
Te 0.4770 0.9438 0.8943
Te 0.4852 0.1058 0.8779
Te 0.4852 0.3942 0.3779
Te 0.4863 0.6842 0.3795
Te 0.4863 0.8158 0.8795
Te 0.4933 0.2059 0.3463
Te 0.4933 0.2941 0.8463
Te 0.4997 0.0285 0.3399
Te 0.4997 0.4715 0.8399
Te 0.5003 0.5285 0.1601
Te 0.5003 0.9715 0.6601
Te 0.5067 0.7059 0.1537
Te 0.5067 0.7941 0.6537
Te 0.5137 0.1842 0.1205
Te 0.5137 0.3158 0.6205
Te 0.5148 0.6058 0.6221
Te 0.5148 0.8942 0.1221
Te 0.5230 0.0562 0.1057
Te 0.5230 0.4438 0.6057
Te 0.5609 0.1961 0.6351
Te 0.5609 0.3039 0.1351
Te 0.6296 0.1125 0.5856
Te 0.6296 0.3875 0.0856
Te 0.7009 0.5992 0.2596
Te 0.7009 0.9008 0.7596
Te 0.8013 0.5546 0.7161
Te 0.8013 0.9454 0.2161
Te 0.8118 0.6788 0.7318
Te 0.8118 0.8212 0.2318
Te 0.8733 0.6767 0.4108
Te 0.8733 0.8233 0.9108
Te 0.8772 0.1170 0.2595
Te 0.8768 0.1765 0.4513
Te 0.8768 0.3235 0.9513
Te 0.8772 0.3830 0.7595
Te 0.8833 0.0596 0.4496
Te 0.8833 0.4404 0.9496
Te 0.8964 0.2078 0.7060
Te 0.8964 0.2922 0.2060
Te 0.9074 0.0248 0.7159
Te 0.9074 0.4752 0.2159
Te 0.9761 0.1068 0.9255
Te 0.9761 0.3932 0.4255

## Properties
Symmetry = P2_1/c (14)
Total magnetic moment = 0.00 μB per formula unit

---

A relaxed K2TbCl5 crystal, computed with GGA-PBE.

Lattice parameters (Å, degrees): 12.9601 8.6168 8.0690 90.00 90.00 90.00
Positions (direct):
K 0.1720 0.0048 0.0514
K 0.1720 0.4952 0.0514
K 0.3280 0.5048 0.5514
K 0.3280 0.9952 0.5514
K 0.6720 0.0048 0.4486
K 0.6720 0.4952 0.4486
K 0.8280 0.5048 0.9486
K 0.8280 0.9952 0.9486
Tb 0.0039 0.2500 0.5740
Tb 0.4961 0.7500 0.0740
Tb 0.5039 0.2500 0.9260
Tb 0.9961 0.7500 0.4260
Cl 0.0101 0.2500 0.9125
Cl 0.0741 0.5421 0.6604
Cl 0.0741 0.9579 0.6604
Cl 0.1739 0.2500 0.3801
Cl 0.1979 0.7500 0.3414
Cl 0.3021 0.2500 0.8414
Cl 0.3261 0.7500 0.8801
Cl 0.4259 0.0421 0.1604
Cl 0.4259 0.4579 0.1604
Cl 0.4899 0.7500 0.4125
Cl 0.5101 0.2500 0.5875
Cl 0.5741 0.5421 0.8396
Cl 0.5741 0.9579 0.8396
Cl 0.6739 0.2500 0.1199
Cl 0.6979 0.7500 0.1586
Cl 0.8021 0.2500 0.6586
Cl 0.8261 0.7500 0.6199
Cl 0.9259 0.0421 0.3396
Cl 0.9259 0.4579 0.3396
Cl 0.9899 0.7500 0.0875

## Properties
Symmetry = Pnma (62)

---

A relaxed YUTe6 crystal, computed with GGA-PBE.

Lattice parameters (Å, degrees): 4.3750 4.3706 25.5170 90.00 90.00 90.00
Positions (direct):
Y 0.0000 0.0000 0.0000
Y 0.0000 0.5000 0.5000
U 0.5000 0.0000 0.6652
U 0.5000 0.5000 0.1652
Te 0.0000 0.0000 0.1284
Te 0.0000 0.0000 0.4049
Te 0.0000 0.0000 0.7581
Te 0.0000 0.5000 0.2581
Te 0.0000 0.5000 0.6284
Te 0.0000 0.5000 0.9049
Te 0.5000 0.0000 0.2581
Te 0.5000 0.0000 0.5392
Te 0.5000 0.0000 0.9045
Te 0.5000 0.5000 0.0392
Te 0.5000 0.5000 0.4045
Te 0.5000 0.5000 0.7581

## Properties
Symmetry = Amm2 (38)

---

A relaxed Na2Sm2MgTi2O8 crystal, computed with GGA-PBE.

Lattice parameters (Å, degrees): 3.6699 3.6699 16.2326 94.24 94.24 89.65
Positions (direct):
Na 0.0000 0.0000 0.0000
Na 0.5410 0.5410 0.1295
Sm 0.2100 0.2100 0.5629
Sm 0.6279 0.6279 0.3902
Mg 0.9257 0.9257 0.7665
Ti 0.0821 0.0821 0.2545
Ti 0.4605 0.4605 0.8739
O 0.0462 0.0462 0.1440
O 0.0950 0.5935 0.2907
O 0.1288 0.1288 0.4262
O 0.4494 0.9482 0.8351
O 0.4961 0.4961 0.9844
O 0.5935 0.0950 0.2907
O 0.6538 0.6538 0.5348
O 0.9482 0.4494 0.8351

## Properties
Excess energy over the best structure of this formula in the dataset = 0 meV/atom
Symmetry = Cm (8)
Total magnetic moment = 0.00 μB per formula unit

---

A relaxed Ho7C2I12N crystal, computed with GGA-PBE.

Lattice parameters (Å, degrees): 9.8634 10.5554 16.9370 101.62 92.89 112.62
Positions (direct):
Ho 0.0206 0.4349 0.1794
Ho 0.0452 0.2519 0.6904
Ho 0.1393 0.4522 0.9808
Ho 0.1628 0.5449 0.3858
Ho 0.2174 0.7564 0.1501
Ho 0.3669 0.8827 0.3557
Ho 0.4352 0.5701 0.2368
Ho 0.5648 0.4299 0.7632
Ho 0.6331 0.1173 0.6443
Ho 0.7826 0.2436 0.8499
Ho 0.8372 0.4551 0.6142
Ho 0.8607 0.5478 0.0192
Ho 0.9548 0.7481 0.3096
Ho 0.9794 0.5651 0.8206
C 0.1365 0.6809 0.2843
C 0.2562 0.6385 0.2661
C 0.7438 0.3615 0.7339
C 0.8635 0.3191 0.7157
I 0.0423 0.1442 0.8497
I 0.0607 0.7471 0.6967
I 0.1070 0.3988 0.5499
I 0.1612 0.0271 0.4115
I 0.2009 0.8172 0.9699
I 0.2284 0.2926 0.1102
I 0.2865 0.5296 0.8122
I 0.3260 0.1534 0.6643
I 0.3755 0.8018 0.5186
I 0.4057 0.4300 0.3745
I 0.4512 0.0561 0.2317
I 0.4693 0.6790 0.0756
I 0.5307 0.3210 0.9244
I 0.5488 0.9439 0.7683
I 0.5943 0.5700 0.6255
I 0.6245 0.1982 0.4814
I 0.6740 0.8466 0.3357
I 0.7135 0.4704 0.1878
I 0.7716 0.7074 0.8898
I 0.7991 0.1828 0.0301
I 0.8388 0.9729 0.5885
I 0.8930 0.6012 0.4501
I 0.9393 0.2529 0.3033
I 0.9577 0.8558 0.1503
N 0.0592 0.5487 0.0842
N 0.9408 0.4513 0.9158

## Properties
Symmetry = P-1 (2)
Total magnetic moment = 0.00 μB per formula unit

---

A relaxed Te6Mo3WSe2 crystal, computed with GGA-PBE.

Lattice parameters (Å, degrees): 3.4983 3.4983 39.5646 90.00 90.00 120.00
Positions (direct):
Te 0.0000 0.0000 0.0000
Te 0.0000 0.0000 0.0926
Te 0.0000 0.0000 0.3754
Te 0.0000 0.0000 0.4686
Te 0.6667 0.3333 0.5636
Te 0.6667 0.3333 0.6562
Mo 0.0000 0.0000 0.2342
Mo 0.0000 0.0000 0.6100
Mo 0.6667 0.3333 0.0463
W 0.6667 0.3333 0.4220
Se 0.6667 0.3333 0.1933
Se 0.6667 0.3333 0.2750

## Properties
Excess energy over the best structure of this formula in the dataset = 18 meV/atom
Symmetry = P3m1 (156)

---

A relaxed NaCdSbS3 crystal, computed with GGA-PBE.

Lattice parameters (Å, degrees): 5.8534 5.8534 17.2783 99.18 99.18 90.57
Positions (direct):
Na 0.0107 0.3119 0.0786
Na 0.3119 0.0107 0.5786
Na 0.6881 0.9893 0.4214
Na 0.9893 0.6881 0.9214
Cd 0.1194 0.8806 0.2500
Cd 0.3854 0.6146 0.7500
Cd 0.6146 0.3854 0.2500
Cd 0.8806 0.1194 0.7500
Sb 0.1977 0.4483 0.4064
Sb 0.4483 0.1977 0.9064
Sb 0.5517 0.8023 0.0936
Sb 0.8023 0.5517 0.5936
S 0.0237 0.1722 0.9030
S 0.0825 0.4224 0.2598
S 0.1722 0.0237 0.4030
S 0.3832 0.5152 0.5983
S 0.4224 0.0825 0.7598
S 0.4848 0.6168 0.9017
S 0.5152 0.3832 0.0983
S 0.5776 0.9175 0.2402
S 0.6168 0.4848 0.4017
S 0.8278 0.9763 0.5970
S 0.9175 0.5776 0.7402
S 0.9763 0.8278 0.0970

## Properties
Symmetry = C2/c (15)
Total magnetic moment = 0.00 μB per formula unit

---

Ρ per entry: 5.92 5.99 7.46 10.27 3.37 12.63 4.98 3.05 7.44 4.54 5.71 5.52 4.07 Mg/m³
Formation energy per entry: -1.0198 -3.0570 -2.6143 -0.5349 0.0175 -0.3275 -0.9785 -2.5465 -1.0463 -3.0332 -1.3351 -0.3839 -0.8869 eV per atom